Version i
# Cu2WO4

Cu2WO4 after structural relaxation (PBE+U, the Materials Project).

Output
magnetic moment: 0.00 μB/f.u.
V: 454.21 Å³/cell
crystal system: triclinic

```
Cu2WO4
1.0
7.520 0.000 0.000
-0.598 7.548 0.000
-0.963 -1.153 8.002
O Cu W
16 8 4
Direct
0.198 0.979 0.798
0.364 0.998 0.125
0.856 0.450 0.238
0.227 0.315 0.214
0.773 0.685 0.786
0.802 0.021 0.202
0.999 0.176 0.993
0.575 0.681 0.056
0.144 0.550 0.762
0.440 0.738 0.471
0.001 0.824 0.007
0.937 0.779 0.550
0.560 0.262 0.529
0.636 0.002 0.875
0.063 0.221 0.450
0.425 0.319 0.944
0.609 0.127 0.696
0.688 0.792 0.501
0.661 0.117 0.371
0.637 0.399 0.099
0.312 0.208 0.499
0.339 0.883 0.629
0.363 0.601 0.901
0.391 0.873 0.304
0.968 0.245 0.238
0.742 0.840 0.989
0.258 0.160 0.011
0.032 0.755 0.762
```

Version ii
# Cu2WO4

Cu2WO4 after structural relaxation (PBE+U, the Materials Project).

Output
magnetic moment: 0.00 μB/f.u.
V: 403.40 Å³/cell
crystal system: triclinic

```
Cu2WO4
1.0
-4.162 3.115 -2.503
-4.422 -2.944 6.584
4.122 8.730 0.515
O Cu W
16 8 4
Direct
0.451 0.648 0.601
0.632 0.714 0.069
0.041 0.881 0.201
0.919 0.408 0.111
0.549 0.352 0.399
0.397 0.632 0.310
0.231 0.273 0.211
0.990 0.637 0.493
0.081 0.592 0.889
0.817 0.057 0.077
0.603 0.368 0.690
0.769 0.727 0.789
0.368 0.286 0.931
0.010 0.363 0.507
0.959 0.119 0.799
0.183 0.943 0.923
0.670 0.547 0.158
0.493 0.871 0.849
0.979 0.889 0.625
0.021 0.111 0.375
0.649 0.179 0.845
0.507 0.129 0.151
0.351 0.821 0.155
0.330 0.453 0.842
0.924 0.797 0.994
0.720 0.493 0.586
0.076 0.203 0.006
0.280 0.507 0.414
```

List of relative energies, unit meV/atom: version i 94; version ii 0